Density functional theory data (PBE) for YIn2Ni9 after structural relaxation.

abc: 8.2225 8.2225 4.8280
angles: 90.00 90.00 90.00
Last column: nearest neighbours and their distance in Å.
Positions (direct):
Y  0.5000  0.5000  0.0000  16 Ni 2.99-3.26, 4 In 3.25
Y  0.0000  0.0000  0.0000  16 Ni 2.99-3.26, 4 In 3.25
In  0.6244  0.1244  0.0000  12 Ni 2.61-2.83, 1 In 2.89
In  0.3756  0.8756  0.0000  12 Ni 2.61-2.83, 1 In 2.89
In  0.1244  0.3756  0.0000  12 Ni 2.61-2.83, 1 In 2.89
In  0.8756  0.6244  0.0000  12 Ni 2.61-2.83, 1 In 2.89
Ni  0.5000  0.0000  0.5000  8 Ni 2.38-2.47
Ni  0.0000  0.5000  0.5000  8 Ni 2.38-2.47
Ni  0.7058  0.5633  0.5000  8 Ni 2.47-2.69
Ni  0.2942  0.4367  0.5000  8 Ni 2.47-2.69
Ni  0.2058  0.9367  0.5000  8 Ni 2.47-2.69
Ni  0.7942  0.0633  0.5000  8 Ni 2.47-2.69
Ni  0.4367  0.7058  0.5000  8 Ni 2.47-2.69
Ni  0.5633  0.2942  0.5000  8 Ni 2.47-2.69
Ni  0.0633  0.2058  0.5000  8 Ni 2.47-2.69
Ni  0.9367  0.7942  0.5000  8 Ni 2.47-2.69
Ni  0.8235  0.3235  0.7513  7 Ni 2.38-2.51, 1 In 2.61
Ni  0.1765  0.6765  0.7513  7 Ni 2.38-2.51, 1 In 2.61
Ni  0.3235  0.1765  0.7513  7 Ni 2.38-2.51, 1 In 2.61
Ni  0.6765  0.8235  0.7513  7 Ni 2.38-2.51, 1 In 2.61
Ni  0.1765  0.6765  0.2487  7 Ni 2.38-2.51, 1 In 2.61
Ni  0.8235  0.3235  0.2487  7 Ni 2.38-2.51, 1 In 2.61
Ni  0.6765  0.8235  0.2487  7 Ni 2.38-2.51, 1 In 2.61
Ni  0.3235  0.1765  0.2487  7 Ni 2.38-2.51, 1 In 2.61

Results
- Space-group type: P4/mbm
- Formation energy: -2.6 eV per formula unit
- Crystal system: tetragonal
- Density: 8.62 g/cm3
- Total magnetization: 0.0126 μB/atom